Computed, not measured: crystalline LaTe2 at its relaxed geometry at the PBE level of DFT.

The structure belongs to space group P4bm (No. 100); the cell edges are 9.144, 9.144 and 9.293 Å and the angles 90.00°, 90.00° and 90.00°. The inequivalent atoms are La at (0.000, 0.000, 0.000), La at (0.000, 0.500, 0.001), La at (0.244, 0.256, 0.548), Te at (0.000, 0.000, 0.640), Te at (0.000, 0.500, 0.641), Te at (0.013, 0.748, 0.274) and Te at (0.250, 0.250, 0.908).

Its energy of formation is -1.682 eV per atom.